a:
# BaB2H10O9

A relaxed BaB2H10O9 crystal (PBE-GGA, the Materials Project database).

Cell lengths 8.796, 6.736, 17.930 Å; angles 85.37, 90.00, 90.00 degrees
Sites, in units of the cell vectors:
H 0.888 0.281 0.018
H 0.745 0.594 0.130
H 0.631 0.991 0.628
O 0.234 0.011 0.036
H 0.131 0.009 0.872
O 0.220 0.408 0.317
H 0.839 0.908 0.051
H 0.255 0.406 0.870
O 0.720 0.592 0.183
O 0.328 0.956 0.688
H 0.869 0.991 0.128
Ba 0.007 0.883 0.706
O 0.650 0.792 0.770
B 0.294 0.829 0.027
O 0.279 0.692 0.482
H 0.755 0.594 0.630
O 0.571 0.202 0.939
O 0.350 0.208 0.230
O 0.228 0.813 0.338
H 0.262 0.761 0.892
H 0.762 0.239 0.608
B 0.706 0.171 0.973
O 0.272 0.813 0.838
O 0.772 0.187 0.662
O 0.105 0.121 0.902
H 0.245 0.406 0.370
B 0.853 0.657 0.219
O 0.734 0.989 0.464
Ba 0.993 0.117 0.294
O 0.280 0.408 0.817
O 0.150 0.208 0.730
H 0.817 0.496 0.878
H 0.821 0.997 0.866
H 0.268 0.497 0.118
H 0.426 0.633 0.710
H 0.661 0.908 0.551
O 0.728 0.187 0.162
O 0.929 0.202 0.439
H 0.317 0.504 0.622
O 0.895 0.879 0.098
O 0.266 0.011 0.536
O 0.485 0.453 0.293
O 0.071 0.798 0.561
H 0.788 0.311 0.686
H 0.574 0.367 0.290
H 0.738 0.239 0.108
H 0.074 0.633 0.210
H 0.612 0.281 0.518
H 0.112 0.719 0.982
H 0.288 0.689 0.814
H 0.232 0.497 0.618
Ba 0.507 0.117 0.794
H 0.238 0.761 0.392
H 0.679 0.997 0.366
O 0.672 0.044 0.312
O 0.828 0.044 0.812
O 0.780 0.592 0.683
H 0.683 0.496 0.378
H 0.339 0.092 0.449
B 0.353 0.343 0.281
O 0.850 0.792 0.270
O 0.172 0.956 0.188
H 0.388 0.719 0.482
O 0.766 0.989 0.964
O 0.985 0.547 0.207
O 0.395 0.121 0.402
H 0.712 0.311 0.186
O 0.605 0.879 0.598
H 0.768 0.503 0.382
H 0.183 0.504 0.122
B 0.206 0.829 0.527
O 0.779 0.308 0.018
O 0.221 0.692 0.982
H 0.732 0.503 0.882
H 0.369 0.009 0.372
O 0.429 0.798 0.061
B 0.794 0.171 0.473
H 0.161 0.092 0.949
H 0.179 0.003 0.134
H 0.321 0.003 0.634
O 0.015 0.453 0.793
O 0.515 0.547 0.707
H 0.926 0.367 0.790
Ba 0.493 0.883 0.206
B 0.647 0.657 0.719
O 0.721 0.308 0.518
B 0.147 0.343 0.781
H 0.212 0.689 0.314



b:
# BaB2H10O9

A relaxed BaB2H10O9 crystal (PBE-GGA, the Materials Project database).

Cell lengths 8.866, 6.864, 18.728 Å; angles 89.54, 90.00, 90.00 degrees
Sites, in units of the cell vectors:
B 0.710 0.162 0.034
H 0.201 0.699 0.676
B 0.156 0.364 0.219
O 0.774 0.292 0.984
H 0.365 0.053 0.603
O 0.296 0.824 0.151
H 0.677 0.873 0.473
O 0.144 0.172 0.074
H 0.135 0.053 0.103
H 0.191 0.013 0.851
H 0.310 0.477 0.380
H 0.865 0.947 0.897
H 0.274 0.466 0.884
B 0.790 0.162 0.534
H 0.177 0.127 0.027
O 0.281 0.003 0.443
H 0.442 0.561 0.278
H 0.229 0.412 0.630
O 0.856 0.777 0.732
O 0.719 0.997 0.557
O 0.071 0.817 0.438
O 0.708 0.592 0.819
O 0.690 0.027 0.700
B 0.344 0.364 0.719
Ba 0.003 0.900 0.301
O 0.644 0.777 0.232
H 0.942 0.439 0.222
B 0.290 0.838 0.966
H 0.219 0.783 0.600
O 0.429 0.817 0.938
H 0.116 0.717 0.016
O 0.226 0.708 0.016
Ba 0.497 0.900 0.801
H 0.323 0.127 0.527
H 0.726 0.534 0.116
O 0.796 0.176 0.349
H 0.616 0.283 0.484
H 0.058 0.561 0.778
H 0.226 0.466 0.384
O 0.036 0.491 0.203
O 0.144 0.223 0.268
H 0.635 0.947 0.397
H 0.271 0.412 0.130
O 0.356 0.223 0.768
O 0.208 0.408 0.681
O 0.644 0.828 0.426
B 0.844 0.636 0.781
O 0.536 0.509 0.297
H 0.823 0.873 0.973
H 0.309 0.013 0.351
O 0.781 0.997 0.057
H 0.809 0.987 0.149
O 0.571 0.183 0.062
O 0.792 0.592 0.319
H 0.771 0.588 0.370
O 0.292 0.408 0.181
O 0.964 0.509 0.797
H 0.719 0.217 0.900
B 0.210 0.838 0.466
B 0.656 0.636 0.281
H 0.701 0.301 0.824
O 0.219 0.003 0.943
O 0.704 0.176 0.849
H 0.884 0.283 0.984
O 0.356 0.172 0.574
O 0.810 0.027 0.200
H 0.281 0.783 0.100
H 0.190 0.477 0.880
Ba 0.997 0.100 0.699
O 0.204 0.824 0.651
O 0.190 0.973 0.800
H 0.691 0.987 0.649
H 0.781 0.217 0.400
H 0.810 0.523 0.120
H 0.384 0.717 0.516
H 0.690 0.523 0.620
H 0.799 0.301 0.324
H 0.299 0.699 0.176
O 0.310 0.973 0.300
H 0.558 0.439 0.722
H 0.729 0.588 0.870
O 0.929 0.183 0.562
O 0.856 0.828 0.926
H 0.774 0.534 0.616
O 0.274 0.708 0.516
O 0.464 0.491 0.703
O 0.726 0.292 0.484
Ba 0.503 0.100 0.199



What should be chosen as the most stable of them? Choose b.



a:
# BaMg6B

A relaxed BaMg6B crystal (PBE-GGA, the Materials Project database).

Cell lengths 8.716, 8.716, 3.961 Å; angles 90.00, 90.00, 137.63 degrees
Sites, in units of the cell vectors:
Mg 0.188 0.362 0.000
Mg 0.807 0.193 0.500
Mg 0.795 0.709 0.500
Mg 0.291 0.205 0.500
B 0.409 0.591 0.500
Mg 0.648 0.352 0.000
Mg 0.638 0.812 0.000
Ba 0.224 0.776 0.000



b:
# BaMg6B

A relaxed BaMg6B crystal (PBE-GGA, the Materials Project database).

Cell lengths 7.940, 7.940, 4.723 Å; angles 90.00, 90.00, 136.25 degrees
Sites, in units of the cell vectors:
Mg 0.197 0.803 0.000
Mg 0.300 0.191 0.500
Mg 0.191 0.345 0.000
Mg 0.655 0.809 0.000
B 0.428 0.572 0.500
Mg 0.809 0.700 0.500
Mg 0.625 0.375 0.000
Ba 0.796 0.204 0.500



What should be chosen as the most stable of them? Choose a.



a:
# Ba7SiB3NO13

A relaxed Ba7SiB3NO13 crystal (PBE-GGA, the Materials Project database).

Cell lengths 11.338, 11.338, 7.479 Å; angles 90.00, 90.00, 120.00 degrees
Sites, in units of the cell vectors:
Ba 0.263 0.124 0.695
O 0.357 0.544 0.161
Ba 0.737 0.876 0.195
O 0.705 0.104 0.045
O 0.333 0.667 0.860
O 0.896 0.601 0.045
Ba 0.862 0.737 0.695
B 0.175 0.814 0.640
Ba 0.047 0.524 0.852
Ba 0.953 0.476 0.352
Si 0.333 0.667 0.083
Ba 0.876 0.138 0.695
Ba 0.124 0.862 0.195
B 0.186 0.360 0.640
B 0.825 0.186 0.140
B 0.360 0.175 0.140
O 0.667 0.333 0.360
Ba 0.667 0.333 0.990
Ba 0.522 0.047 0.352
O 0.399 0.295 0.045
O 0.294 0.150 0.303
B 0.814 0.640 0.140
Si 0.667 0.333 0.583
O 0.144 0.294 0.803
N 0.000 0.000 0.480
O 0.813 0.357 0.661
B 0.640 0.825 0.640
Ba 0.524 0.478 0.352
O 0.643 0.456 0.661
O 0.544 0.187 0.661
O 0.856 0.706 0.303
O 0.456 0.813 0.161
O 0.390 0.079 0.066
O 0.079 0.689 0.566
O 0.921 0.311 0.066
O 0.850 0.144 0.303
O 0.295 0.896 0.545
O 0.104 0.399 0.545
N 0.000 0.000 0.980
O 0.311 0.390 0.566
O 0.601 0.705 0.545
Ba 0.476 0.522 0.852
Ba 0.333 0.667 0.490
O 0.689 0.610 0.066
O 0.150 0.856 0.803
O 0.187 0.643 0.161
O 0.610 0.921 0.566
O 0.706 0.850 0.803
Ba 0.478 0.953 0.852
Ba 0.138 0.263 0.195



b:
# Ba7SiB3NO13

A relaxed Ba7SiB3NO13 crystal (PBE-GGA, the Materials Project database).

Cell lengths 11.473, 11.449, 7.452 Å; angles 90.00, 90.00, 121.20 degrees
Sites, in units of the cell vectors:
O 0.666 0.337 0.360
Ba 0.740 0.878 0.176
O 0.311 0.395 0.572
B 0.184 0.357 0.645
O 0.397 0.085 0.085
O 0.832 0.149 0.304
B 0.181 0.811 0.633
O 0.689 0.605 0.072
Ba 0.536 0.048 0.354
Ba 0.520 0.475 0.355
O 0.895 0.598 0.060
B 0.816 0.643 0.145
O 0.464 0.810 0.159
O 0.168 0.851 0.804
Ba 0.337 0.665 0.493
O 0.279 0.147 0.298
O 0.862 0.724 0.297
O 0.351 0.538 0.161
Ba 0.464 0.952 0.854
O 0.192 0.646 0.162
O 0.701 0.109 0.032
O 0.105 0.402 0.560
Ba 0.953 0.468 0.354
Ba 0.868 0.143 0.688
O 0.721 0.853 0.798
Si 0.335 0.664 0.083
O 0.597 0.703 0.549
B 0.359 0.176 0.146
O 0.138 0.276 0.797
O 0.077 0.688 0.561
O 0.923 0.312 0.061
O 0.403 0.297 0.049
Ba 0.047 0.532 0.854
O 0.299 0.891 0.532
Ba 0.134 0.262 0.174
N 0.999 0.999 0.997
Si 0.665 0.336 0.583
O 0.603 0.915 0.585
O 0.334 0.663 0.860
B 0.819 0.189 0.133
Ba 0.663 0.335 0.993
Ba 0.260 0.122 0.676
O 0.536 0.190 0.659
Ba 0.866 0.738 0.674
N 0.001 0.001 0.497
O 0.808 0.354 0.662
Ba 0.480 0.525 0.855
B 0.641 0.824 0.646
O 0.649 0.462 0.661
Ba 0.132 0.857 0.188



What should be chosen as the most stable of them? Choose b.